Record 1
This record from Materials Project describes a geometry-optimized MgTa2Fe2O8 structure. The functional is PBE with a Hubbard U.

Results
Offset from the most stable computed form = 0.033 eV/atom
Energy of formation = -2676 meV per atom
E_tot = -106.61 eV for the cell shown

a = 5.6444 Å, b = 5.8154 Å, c = 5.9304 Å
α = 106.47°, β = 107.43°, γ = 112.99°
Closest atoms and distances in Å follow each position.
Atoms (fractional coordinates):
Mg 0.0000 0.0000 0.0000  6 O 1.98-2.20
Ta 0.2967 0.6873 0.0149  4 O 1.88-2.00
Ta 0.5208 0.4539 0.5175  4 O 1.87-2.03
Fe 0.0404 0.9870 0.5106  6 O 2.10-2.27
Fe 0.7698 0.3292 0.0794  4 O 2.03-2.14
O 0.0492 0.7415 0.1810  1 Ta 2.00, 2 Fe 2.06-2.10, 1 Mg 2.13
O 0.0727 0.2920 0.8476  1 Ta 1.88, 1 Mg 2.10
O 0.0971 0.2959 0.3385  1 Ta 1.98, 1 Mg 1.98, 1 Fe 2.14
O 0.4688 0.1617 0.1993  1 Ta 2.00, 1 Fe 2.04, 1 Mg 2.20
O 0.5076 0.2510 0.7124  1 Ta 1.87, 1 Fe 2.03
O 0.5479 0.7713 0.8404  2 Ta 1.99-2.17, 1 Mg 2.09
O 0.5712 0.7239 0.3234  1 Ta 1.90
O 0.9612 0.7014 0.6963  1 Mg 2.00, 1 Ta 2.03, 1 Fe 2.22

=====

Record 2
This record from Materials Project describes a geometry-optimized Mg2TaFeO6 structure. The functional is PBE with a Hubbard U.

Results
Energy of formation = -2769 meV per atom
E_tot = -149.06 eV for the cell shown

a = 5.1905 Å, b = 7.6182 Å, c = 5.4205 Å
α = 90.00°, β = 90.66°, γ = 90.00°
Closest atoms and distances in Å follow each position.
Atoms (fractional coordinates):
Mg 0.0069 0.2500 0.0425  3 O 2.04-2.07
Mg 0.4871 0.2500 0.5695  4 O 2.09-2.12
Mg 0.5129 0.7500 0.4305  4 O 2.09-2.12
Mg 0.9931 0.7500 0.9575  3 O 2.04-2.07
Ta 0.0000 0.0000 0.5000  6 O 1.98-2.05
Ta 0.0000 0.5000 0.5000  6 O 1.98-2.05
Fe 0.5000 0.0000 0.0000  6 O 2.03-2.07
Fe 0.5000 0.5000 0.0000  6 O 2.03-2.07
O 0.1329 0.7500 0.5591  2 Ta 2.05, 2 Mg 2.10-2.29
O 0.1752 0.0687 0.8110  1 Ta 1.98, 1 Fe 2.03, 1 Mg 2.07
O 0.1752 0.4313 0.8110  1 Ta 1.98, 1 Fe 2.03, 1 Mg 2.07
O 0.3136 0.0697 0.3205  1 Ta 1.98, 1 Fe 2.07, 1 Mg 2.12
O 0.3136 0.4303 0.3205  1 Ta 1.98, 1 Fe 2.07, 1 Mg 2.12
O 0.3692 0.7500 0.0682  2 Mg 2.04-2.09, 2 Fe 2.06
O 0.6308 0.2500 0.9318  2 Mg 2.04-2.09, 2 Fe 2.06
O 0.6864 0.5697 0.6795  1 Ta 1.98, 1 Fe 2.07, 1 Mg 2.12
O 0.6864 0.9303 0.6795  1 Ta 1.98, 1 Fe 2.07, 1 Mg 2.12
O 0.8248 0.5687 0.1890  1 Ta 1.98, 1 Fe 2.03, 1 Mg 2.07
O 0.8248 0.9313 0.1890  1 Ta 1.98, 1 Fe 2.03, 1 Mg 2.07
O 0.8671 0.2500 0.4409  2 Ta 2.05, 2 Mg 2.10-2.29

=====

Record 3
This record from Materials Project describes a geometry-optimized MgTa2Fe2O8 structure. The functional is PBE with a Hubbard U.

Results
Offset from the most stable computed form = 0.035 eV/atom
Energy of formation = -2673 meV per atom
E_tot = -106.59 eV for the cell shown

a = 5.1549 Å, b = 5.1837 Å, c = 6.4511 Å
α = 88.87°, β = 89.52°, γ = 76.92°
Closest atoms and distances in Å follow each position.
Atoms (fractional coordinates):
Mg 0.0000 0.0000 0.0000  4 O 1.93-2.01
Ta 0.3621 0.6985 0.5358  4 O 1.88-2.03
Ta 0.3820 0.2009 0.2333  6 O 1.94-2.09
Fe 0.7325 0.5870 0.0015  4 O 2.01-2.06
Fe 0.8722 0.1986 0.5278  6 O 2.12-2.37
O 0.1018 0.3493 0.0365  1 Ta 1.94, 1 Mg 2.01, 1 Fe 2.03
O 0.1114 0.8907 0.7225  1 Ta 1.88, 1 Mg 1.93
O 0.1555 0.9296 0.2864  1 Mg 2.01, 2 Ta 2.04-2.13
O 0.1654 0.4210 0.4714  2 Ta 1.99-2.09, 1 Fe 2.12
O 0.5765 0.9751 0.4735  2 Ta 2.03-2.05, 1 Fe 2.15
O 0.5955 0.4660 0.2799  1 Ta 1.97, 1 Fe 2.06
O 0.6258 0.9854 0.0382  1 Ta 1.95, 1 Mg 1.96, 1 Fe 2.03
O 0.6273 0.4984 0.7175  1 Ta 1.91, 1 Fe 2.01

=====

Record 4
This record from Materials Project describes a geometry-optimized MgTa2Fe2O8 structure. The functional is PBE with a Hubbard U.

Results
Offset from the most stable computed form = 0.069 eV/atom
Energy of formation = -2640 meV per atom
E_tot = -106.15 eV for the cell shown

a = 5.0225 Å, b = 5.9751 Å, c = 5.1190 Å
α = 90.00°, β = 91.22°, γ = 90.00°
Closest atoms and distances in Å follow each position.
Atoms (fractional coordinates):
Mg 0.0000 0.0000 0.0000  6 O 2.03-2.17
Ta 0.0000 0.1090 0.5000  4 O 1.90-1.98
Ta 0.5000 0.7474 0.5000  4 O 1.90-2.01
Fe 0.0000 0.5548 0.0000  4 O 2.11-2.14
Fe 0.5000 0.2886 0.0000  6 O 2.08-2.32
O 0.1499 0.2809 0.7774  1 Ta 1.90, 1 Fe 2.08
O 0.1817 0.8253 0.7147  2 Ta 2.01-2.21, 1 Mg 2.03
O 0.3062 0.0333 0.2783  1 Ta 1.98, 1 Mg 2.08
O 0.3395 0.5528 0.2495  1 Ta 1.90, 1 Fe 2.11
O 0.6605 0.5528 0.7505  1 Ta 1.90, 1 Fe 2.11
O 0.6938 0.0333 0.7217  1 Ta 1.98, 1 Mg 2.08
O 0.8183 0.8253 0.2853  2 Ta 2.01-2.21, 1 Mg 2.03
O 0.8501 0.2809 0.2226  1 Ta 1.90, 1 Fe 2.08

=====

Q: energy of formation of number 4 (MgTa2Fe2O8)?
A: -2640 meV per atom

=====

Repeat the first record exactly.
This record from Materials Project describes a geometry-optimized MgTa2Fe2O8 structure. The functional is PBE with a Hubbard U.

Results
Offset from the most stable computed form = 0.033 eV/atom
Energy of formation = -2676 meV per atom
E_tot = -106.61 eV for the cell shown

a = 5.6444 Å, b = 5.8154 Å, c = 5.9304 Å
α = 106.47°, β = 107.43°, γ = 112.99°
Closest atoms and distances in Å follow each position.
Atoms (fractional coordinates):
Mg 0.0000 0.0000 0.0000  6 O 1.98-2.20
Ta 0.2967 0.6873 0.0149  4 O 1.88-2.00
Ta 0.5208 0.4539 0.5175  4 O 1.87-2.03
Fe 0.0404 0.9870 0.5106  6 O 2.10-2.27
Fe 0.7698 0.3292 0.0794  4 O 2.03-2.14
O 0.0492 0.7415 0.1810  1 Ta 2.00, 2 Fe 2.06-2.10, 1 Mg 2.13
O 0.0727 0.2920 0.8476  1 Ta 1.88, 1 Mg 2.10
O 0.0971 0.2959 0.3385  1 Ta 1.98, 1 Mg 1.98, 1 Fe 2.14
O 0.4688 0.1617 0.1993  1 Ta 2.00, 1 Fe 2.04, 1 Mg 2.20
O 0.5076 0.2510 0.7124  1 Ta 1.87, 1 Fe 2.03
O 0.5479 0.7713 0.8404  2 Ta 1.99-2.17, 1 Mg 2.09
O 0.5712 0.7239 0.3234  1 Ta 1.90
O 0.9612 0.7014 0.6963  1 Mg 2.00, 1 Ta 2.03, 1 Fe 2.22

=====

Q: Which of these has the highest energy of formation?
A: number 4